[1]
The following is a PBE calculation of an optimized crystal structure of TlN, from the Materials Project.

Cell: 3.728 3.728 3.728 Å, 60.00 60.00 60.00°
Positions (direct):
N1 0.250 0.250 0.250
Tl1 0.000 0.000 0.000

Properties
relative energy among the computed polymorphs: 0.000 eV per atom


[2]
The following is a PBE calculation of an optimized crystal structure of MnCd3N3, from the Materials Project.

Cell: 7.189 7.201 4.768 Å, 90.00 90.00 120.06°
Positions (direct):
Cd1 0.813 0.186 0.250
N1 0.378 0.189 0.750
Mn1 0.666 0.333 0.750
N2 0.622 0.811 0.250
Cd2 0.186 0.373 0.750
N3 0.810 0.189 0.750
Cd3 0.372 0.186 0.250
N4 0.190 0.811 0.250
N5 0.190 0.380 0.250
Cd4 0.187 0.814 0.750
N6 0.810 0.620 0.750
Mn2 0.334 0.667 0.250
Cd5 0.628 0.814 0.750
Cd6 0.814 0.627 0.250


[3]
The following is a PBE calculation of an optimized crystal structure of Bi17As5Pb5O43, from the Materials Project.

Cell: 11.874 11.874 11.938 Å, 61.92 61.92 92.95°
Positions (direct):
As1 0.658 0.970 0.706
O1 0.549 0.372 0.482
O2 0.242 0.782 0.852
O3 0.388 0.211 0.853
O4 0.602 0.417 0.833
As2 0.981 0.981 0.029
Bi1 0.357 0.642 0.005
Pb1 0.337 0.668 0.676
O5 0.486 0.486 0.644
O6 0.001 0.508 0.757
O7 0.067 0.067 0.833
O8 0.593 0.771 0.474
O9 0.422 0.238 0.182
Bi2 0.354 0.016 0.301
O10 0.921 0.440 0.528
Pb2 0.334 0.334 0.327
O11 0.987 0.739 0.531
Bi3 0.032 0.032 0.648
Bi4 0.998 0.998 0.351
As3 0.650 0.345 0.344
O12 0.589 0.067 0.195
O13 0.417 0.602 0.833
Bi5 0.668 0.029 0.013
O14 0.978 0.814 0.113
O15 0.064 0.064 0.070
Bi6 0.654 0.995 0.357
O16 0.051 0.761 0.728
O17 0.077 0.077 0.433
Bi7 0.006 0.323 0.021
Bi8 0.630 0.630 0.404
O18 0.072 0.478 0.044
O19 0.478 0.072 0.044
O20 0.814 0.978 0.113
Bi9 0.658 0.658 0.011
Bi10 0.016 0.354 0.301
O21 0.211 0.388 0.853
O22 0.782 0.242 0.852
Bi11 0.356 0.008 0.654
O23 0.508 0.001 0.757
O24 0.583 0.180 0.404
O25 0.180 0.583 0.404
O26 0.214 0.027 0.210
Pb3 0.668 0.337 0.676
Bi12 0.323 0.006 0.021
O27 0.444 0.645 0.184
O28 0.771 0.593 0.474
Pb4 0.658 0.658 0.685
Bi13 0.330 0.330 0.696
O29 0.249 0.073 0.536
Bi14 0.029 0.668 0.013
O30 0.372 0.549 0.482
Bi15 0.008 0.356 0.654
O31 0.761 0.051 0.728
O32 0.398 0.813 0.293
Pb5 0.339 0.339 0.995
O33 0.522 0.522 0.027
Bi16 0.995 0.654 0.357
O34 0.238 0.422 0.182
O35 0.067 0.589 0.195
O36 0.791 0.606 0.839
O37 0.813 0.398 0.293
O38 0.606 0.791 0.839
O39 0.027 0.214 0.210
As4 0.970 0.658 0.706
As5 0.345 0.650 0.344
O40 0.739 0.987 0.531
O41 0.645 0.444 0.184
Bi17 0.642 0.357 0.005
O42 0.440 0.921 0.528
O43 0.073 0.249 0.536


[4]
The following is a PBE calculation of an optimized crystal structure of PrNdO2, from the Materials Project.

Cell: 6.217 6.217 6.217 Å, 131.79 131.79 70.55°
Positions (direct):
O1 0.002 0.502 0.500
Nd1 0.250 0.750 0.500
O2 0.252 0.252 0.000
Pr1 0.750 0.250 0.500
O3 0.498 0.998 0.500
Nd2 0.500 0.500 0.000
O4 0.748 0.748 0.000
Pr2 0.000 0.000 0.000

Properties
relative energy among the computed polymorphs: 0.003 eV per atom


[5]
The following is a PBE calculation of an optimized crystal structure of AsSe, from the Materials Project.

Cell: 14.589 7.099 10.553 Å, 65.78 90.00 90.00°
Positions (direct):
As1 0.870 0.154 0.681
Se1 0.481 0.096 0.289
Se2 0.005 0.640 0.654
Se3 0.227 0.394 0.243
Se4 0.286 0.938 0.605
As2 0.160 0.667 0.044
As3 0.639 0.557 0.079
Se5 0.505 0.360 0.846
Se6 0.981 0.904 0.211
As4 0.630 0.154 0.181
As5 0.861 0.557 0.579
Se7 0.019 0.096 0.789
Se8 0.714 0.062 0.395
Se9 0.727 0.606 0.257
As6 0.987 0.644 0.119
As7 0.361 0.443 0.921
Se10 0.995 0.360 0.346
Se11 0.273 0.394 0.743
Se12 0.786 0.062 0.895
Se13 0.519 0.904 0.711
As8 0.130 0.846 0.319
As9 0.840 0.333 0.956
As10 0.370 0.846 0.819
As11 0.013 0.356 0.881
As12 0.513 0.644 0.619
As13 0.487 0.356 0.381
Se14 0.495 0.640 0.154
As14 0.139 0.443 0.421
Se15 0.214 0.938 0.105
Se16 0.773 0.606 0.757
As15 0.660 0.333 0.456
As16 0.340 0.667 0.544


[6]
The following is a PBE calculation of an optimized crystal structure of CsBHC3OF9, from the Materials Project.

Cell: 11.546 11.546 12.514 Å, 90.00 90.00 120.00°
Positions (direct):
F1 0.140 0.319 0.630
F2 0.928 0.095 0.750
C1 0.939 0.624 0.358
C2 0.685 0.061 0.142
H1 0.558 0.068 0.750
B1 0.033 0.667 0.250
F3 0.681 0.821 0.870
F4 0.126 0.345 0.162
F5 0.833 0.928 0.250
F6 0.635 0.148 0.365
Cs1 0.000 0.000 0.500
C3 0.061 0.376 0.642
F7 0.365 0.852 0.635
B2 0.366 0.033 0.750
O1 0.881 0.393 0.750
H2 0.490 0.558 0.250
F8 0.319 0.179 0.130
H3 0.510 0.442 0.750
C4 0.695 0.865 0.250
Cs2 0.333 0.667 0.065
O2 0.393 0.512 0.250
F9 0.655 0.641 0.549
F10 0.635 0.148 0.135
F11 0.655 0.641 0.951
F12 0.655 0.781 0.338
F13 0.860 0.681 0.370
F14 0.126 0.345 0.338
F15 0.179 0.860 0.630
O3 0.607 0.488 0.750
F16 0.219 0.874 0.338
C5 0.135 0.829 0.250
F17 0.852 0.487 0.135
F18 0.655 0.781 0.162
F19 0.681 0.821 0.630
C6 0.865 0.171 0.750
F20 0.905 0.833 0.750
C7 0.171 0.305 0.250
O4 0.512 0.119 0.750
Cs3 0.333 0.667 0.435
Cs4 0.000 0.000 0.000
F21 0.359 0.014 0.951
F22 0.179 0.860 0.870
F23 0.345 0.219 0.838
F24 0.986 0.345 0.951
H4 0.442 0.932 0.250
F25 0.821 0.140 0.130
F26 0.487 0.635 0.865
F27 0.781 0.126 0.838
H5 0.932 0.490 0.750
F28 0.359 0.014 0.549
F29 0.513 0.365 0.365
C8 0.624 0.685 0.642
F30 0.641 0.986 0.451
C9 0.315 0.939 0.858
B3 0.634 0.967 0.250
F31 0.095 0.167 0.250
F32 0.148 0.513 0.635
C10 0.315 0.939 0.642
F33 0.852 0.487 0.365
F34 0.167 0.072 0.750
B4 0.667 0.634 0.750
C11 0.305 0.135 0.750
F35 0.641 0.986 0.049
F36 0.014 0.655 0.049
C12 0.624 0.685 0.858
F37 0.219 0.874 0.162
Cs5 0.667 0.333 0.565
F38 0.319 0.179 0.370
C13 0.685 0.061 0.358
B5 0.967 0.333 0.750
F39 0.140 0.319 0.870
F40 0.345 0.359 0.049
F41 0.513 0.365 0.135
C14 0.376 0.315 0.358
Cs6 0.667 0.333 0.935
C15 0.376 0.315 0.142
F42 0.072 0.905 0.250
F43 0.781 0.126 0.662
C16 0.061 0.376 0.858
C17 0.829 0.695 0.750
F44 0.365 0.852 0.865
F45 0.014 0.655 0.451
F46 0.860 0.681 0.130
F47 0.874 0.655 0.662
H6 0.068 0.510 0.250
O5 0.488 0.881 0.250
F48 0.986 0.345 0.549
F49 0.345 0.359 0.451
F50 0.148 0.513 0.865
F51 0.874 0.655 0.838
F52 0.821 0.140 0.370
F53 0.345 0.219 0.662
O6 0.119 0.607 0.250
F54 0.487 0.635 0.635
B6 0.333 0.366 0.250
C18 0.939 0.624 0.142


[7]
The following is a PBE calculation of an optimized crystal structure of Mn4Si7, from the Materials Project.

Cell: 5.503 5.503 17.359 Å, 90.00 90.00 90.00°
Positions (direct):
Si1 0.334 0.666 0.750
Si2 0.321 0.159 0.817
Mn1 0.000 0.000 0.500
Si3 0.156 0.801 0.887
Si4 0.334 0.334 0.250
Mn2 0.500 0.500 0.130
Si5 0.199 0.156 0.113
Si6 0.666 0.666 0.250
Mn3 0.000 0.000 0.250
Si7 0.199 0.844 0.613
Si8 0.159 0.679 0.183
Mn4 0.000 0.500 0.808
Si9 0.346 0.770 0.039
Si10 0.230 0.654 0.461
Si11 0.679 0.159 0.317
Si12 0.844 0.801 0.387
Si13 0.321 0.841 0.317
Si14 0.346 0.230 0.539
Mn5 0.500 0.000 0.435
Si15 0.679 0.841 0.817
Si16 0.666 0.334 0.750
Si17 0.801 0.844 0.113
Si18 0.654 0.230 0.039
Si19 0.770 0.346 0.461
Si20 0.654 0.770 0.539
Mn6 0.500 0.500 0.370
Si21 0.156 0.199 0.387
Mn7 0.000 0.500 0.065
Mn8 0.000 0.000 0.750
Si22 0.159 0.321 0.683
Si23 0.801 0.156 0.613
Si24 0.770 0.654 0.961
Mn9 0.500 0.500 0.870
Mn10 0.000 0.500 0.308
Si25 0.841 0.679 0.683
Mn11 0.000 0.500 0.565
Mn12 0.500 0.000 0.935
Mn13 0.500 0.000 0.692
Si26 0.230 0.346 0.961
Si27 0.841 0.321 0.183
Mn14 0.500 0.000 0.192
Mn15 0.000 0.000 0.000
Si28 0.844 0.199 0.887
Mn16 0.500 0.500 0.630


no.,MP2020-corrected energy (eV/cell),formation energy from the elements (eV per atom)
1,-9.23,0.7337
2,-71.61,0.1622
3,-437.99,-1.6748
4,-63.33,-3.0554
5,-141.03,-0.3296
6,-551.04,-1.9379
7,-315.56,-0.3877